ZnS (r²SCAN, relaxed); total DFT energy (no corrections) = -9.43 eV/atom; symmetry = No. 156; E_form = -1.9 eV/f.u.
1.0
-1.2471 -3.2153 -1.6120
1.4404 -0.0713 3.5231
-45.4406 8.2264 18.7454
Zn S
16 16
direct
0.3333 0.6667 0.6250
0.6667 0.3333 0.1250
0.0000 0.0000 0.4375
0.3333 0.6667 0.0626
0.6667 0.3333 0.5000
0.3333 0.6667 0.2500
0.6667 0.3333 0.3125
0.0000 0.0000 0.8125
0.6667 0.3333 0.6875
0.0000 0.0000 0.1875
0.3333 0.6667 0.3751
0.3333 0.6667 0.9375
0.0000 0.0000 0.5626
0.6667 0.3333 0.8750
0.3333 0.6667 0.7501
0.0000 0.0000 0.0000
0.0000 0.0000 0.2343
0.3333 0.6667 0.2968
0.6667 0.3333 0.3594
0.6667 0.3333 0.5469
0.3333 0.6667 0.1094
0.6667 0.3333 0.7344
0.3333 0.6667 0.9843
0.6667 0.3333 0.9218
0.0000 0.0000 0.8593
0.3333 0.6667 0.6718
0.0000 0.0000 0.4843
0.3333 0.6667 0.7969
0.0000 0.0000 0.6093
0.0000 0.0000 0.0469
0.6667 0.3333 0.1719
0.3333 0.6667 0.4218